(1)
A plane-wave DFT calculation with PBE was carried out for a relaxed TaCr3Ag2S8 crystal.

Lattice parameters (Å, degrees): 6.506 7.683 12.328 82.31 85.55 90.61
Sites, in units of the cell vectors:
Cr 0.246 0.889 0.002
Cr 0.637 0.954 0.706
Cr 0.363 0.046 0.294
Cr 0.754 0.111 0.998
Cr 0.360 0.557 0.293
Cr 0.640 0.443 0.707
Ta 0.854 0.295 0.304
Ta 0.146 0.705 0.696
S 0.676 0.042 0.375
S 0.808 0.714 0.640
S 0.372 0.619 0.112
S 0.324 0.958 0.625
S 0.125 0.675 0.882
S 0.420 0.075 0.109
S 0.875 0.325 0.118
S 0.326 0.477 0.631
S 0.089 0.134 0.908
S 0.192 0.286 0.360
S 0.227 0.783 0.366
S 0.628 0.381 0.888
S 0.580 0.925 0.891
S 0.773 0.217 0.634
S 0.674 0.523 0.369
S 0.911 0.866 0.092
Ag 0.258 0.372 0.000
Ag 0.878 0.800 0.296
Ag 0.742 0.628 0.000
Ag 0.122 0.200 0.704

## Properties
total DFT energy (no corrections) = -6.12 eV per atom
energy relative to the lowest polymorph listed for this composition = 200.1 meV per atom
calculated volume = 304 Å³/f.u.
total moment = 0.643 μB/atom
symmetry = P-1 (2)

=====

(2)
A plane-wave DFT calculation with PBE was carried out for a relaxed TaCr3Ag2S8 crystal.

Lattice parameters (Å, degrees): 6.967 6.017 6.508 88.95 90.00 90.00
Sites, in units of the cell vectors:
S 0.745 0.329 0.712
S 0.255 0.671 0.288
S 0.000 0.832 0.716
S 0.500 0.171 0.298
S 0.255 0.329 0.712
S 0.745 0.671 0.288
S 0.500 0.829 0.702
S 0.000 0.168 0.284
Ag 0.255 0.000 0.000
Ag 0.745 0.000 0.000
Ta 0.000 0.500 0.500
Cr 0.750 0.000 0.500
Cr 0.250 0.000 0.500
Cr 0.500 0.500 0.500

## Properties
total DFT energy (no corrections) = -6.30 eV per atom
energy relative to the lowest polymorph listed for this composition = 12.8 meV per atom
calculated volume = 273 Å³/f.u.
total moment = 0.643 μB/atom
symmetry = P2/m (10)

=====

(3)
A plane-wave DFT calculation with PBE was carried out for a relaxed TaCr3Ag2S8 crystal.

Lattice parameters (Å, degrees): 11.579 7.283 12.276 90.00 90.00 87.83
Sites, in units of the cell vectors:
S 0.021 0.842 0.877
S 0.725 0.124 0.522
S 0.719 0.872 0.804
S 0.275 0.876 0.022
S 0.469 0.853 0.379
S 0.738 0.386 0.774
S 0.777 0.129 0.033
S 0.979 0.158 0.377
S 0.484 0.402 0.398
S 0.531 0.147 0.879
S 0.024 0.410 0.883
S 0.478 0.938 0.632
S 0.278 0.368 0.003
S 0.540 0.658 0.149
S 0.223 0.871 0.533
S 0.976 0.590 0.383
S 0.034 0.881 0.123
S 0.226 0.376 0.499
S 0.242 0.613 0.766
S 0.774 0.624 0.999
S 0.041 0.325 0.146
S 0.522 0.062 0.132
S 0.966 0.119 0.623
S 0.787 0.886 0.302
S 0.213 0.114 0.802
S 0.281 0.128 0.304
S 0.262 0.614 0.274
S 0.516 0.598 0.898
S 0.722 0.632 0.503
S 0.959 0.675 0.646
S 0.758 0.387 0.266
S 0.460 0.342 0.649
Ta 0.099 0.911 0.688
Ta 0.386 0.394 0.832
Ta 0.901 0.089 0.188
Ta 0.614 0.606 0.332
Cr 0.836 0.375 0.440
Cr 0.128 0.366 0.327
Cr 0.136 0.144 0.991
Cr 0.660 0.378 0.946
Cr 0.359 0.114 0.495
Cr 0.864 0.856 0.491
Cr 0.872 0.634 0.827
Cr 0.380 0.866 0.196
Cr 0.164 0.625 0.940
Cr 0.620 0.134 0.696
Cr 0.641 0.886 0.995
Cr 0.340 0.622 0.446
Ag 0.882 0.123 0.825
Ag 0.897 0.626 0.169
Ag 0.407 0.361 0.174
Ag 0.593 0.639 0.674
Ag 0.118 0.877 0.325
Ag 0.382 0.880 0.821
Ag 0.103 0.374 0.669
Ag 0.618 0.120 0.321

## Properties
total DFT energy (no corrections) = -6.08 eV per atom
energy relative to the lowest polymorph listed for this composition = 231.9 meV per atom
calculated volume = 259 Å³/f.u.
total moment = 0.643 μB/atom
symmetry = P2_1 (4)